Entry w
! Sr2VMoO6 | the Materials Project database | GGA+U | relaxed; values from VASP
&SYSTEM
  ibrav = 0, nat = 10, ntyp = 4
/
ATOMIC_SPECIES
O 16.00 O.upf
V 50.94 V.upf
Sr 87.62 Sr.upf
Mo 95.94 Mo.upf
ATOMIC_POSITIONS crystal
O 0.000 0.500 0.500
O 0.000 0.500 0.000
O 0.000 0.000 0.759
O 0.500 0.000 0.500
O 0.500 0.000 0.000
O 0.000 0.000 0.241
V 0.000 0.000 0.000
Sr 0.500 0.500 0.765
Sr 0.500 0.500 0.235
Mo 0.000 0.000 0.500
CELL_PARAMETERS angstrom
4.042 0.000 0.000
0.000 4.042 0.000
0.000 0.000 7.839
! magnetic moment	0.300	μB per atom

***

Entry x
! Sr2VMoO6 | the Materials Project database | GGA+U | relaxed; values from VASP
&SYSTEM
  ibrav = 0, nat = 20, ntyp = 4
/
ATOMIC_SPECIES
Sr 87.62 Sr.upf
O 16.00 O.upf
Mo 95.94 Mo.upf
V 50.94 V.upf
ATOMIC_POSITIONS crystal
Sr 0.500 0.000 0.750
Sr 0.000 0.500 0.750
Sr 0.000 0.500 0.250
Sr 0.500 0.000 0.250
O 0.751 0.248 0.000
O 0.500 0.500 0.758
O 0.500 0.500 0.242
O 0.000 0.000 0.261
O 0.000 0.000 0.739
O 0.239 0.761 0.500
O 0.761 0.761 0.500
O 0.249 0.752 0.000
O 0.239 0.239 0.500
O 0.751 0.752 0.000
O 0.249 0.248 0.000
O 0.761 0.239 0.500
Mo 0.500 0.500 0.500
Mo 0.500 0.500 0.000
V 0.000 0.000 0.000
V 0.000 0.000 0.500
CELL_PARAMETERS angstrom
-3.224 -4.492 -1.210
-0.747 -0.953 5.529
-6.495 4.681 -0.071
! magnetic moment	0.000	μB per atom

***

What should be chosen as the most stable of them? Choose entry x.

***

Entry w
! Mn6O5F7 | the Materials Project database | GGA+U | relaxed; values from VASP
&SYSTEM
  ibrav = 0, nat = 18, ntyp = 3
/
ATOMIC_SPECIES
Mn 54.94 Mn.upf
F 19.00 F.upf
O 16.00 O.upf
ATOMIC_POSITIONS crystal
Mn 0.006 0.007 0.999
Mn 0.306 0.334 0.174
Mn 0.674 0.618 0.313
Mn 0.997 0.996 0.495
Mn 0.703 0.676 0.837
Mn 0.311 0.365 0.668
F 0.614 0.061 0.667
F 0.384 0.937 0.333
F 0.905 0.876 0.301
F 0.678 0.298 0.016
F 0.083 0.107 0.699
F 0.334 0.714 0.990
F 0.585 0.576 0.641
O 0.027 0.664 0.663
O 0.800 0.769 0.030
O 0.413 0.428 0.380
O 0.213 0.246 0.958
O 0.968 0.330 0.334
CELL_PARAMETERS angstrom
-4.830 -0.904 2.749
-0.337 -5.618 1.109
1.834 -0.776 7.030
! magnetic moment	1.389	μB per atom

***

Entry x
! Mn6O5F7 | the Materials Project database | GGA+U | relaxed; values from VASP
&SYSTEM
  ibrav = 0, nat = 36, ntyp = 3
/
ATOMIC_SPECIES
F 19.00 F.upf
O 16.00 O.upf
Mn 54.94 Mn.upf
ATOMIC_POSITIONS crystal
F 0.236 0.371 0.975
F 0.212 0.866 0.971
F 0.222 0.125 0.804
F 0.251 0.136 0.476
F 0.240 0.380 0.642
F 0.739 0.119 0.700
F 0.767 0.404 0.191
F 0.269 0.613 0.135
F 0.256 0.869 0.318
F 0.257 0.123 0.143
F 0.230 0.893 0.634
F 0.758 0.889 0.859
F 0.757 0.608 0.361
F 0.271 0.635 0.474
O 0.706 0.390 0.858
O 0.280 0.610 0.808
O 0.702 0.595 0.021
O 0.719 0.390 0.522
O 0.763 0.105 0.029
O 0.710 0.600 0.690
O 0.782 0.905 0.526
O 0.314 0.374 0.305
O 0.806 0.109 0.362
O 0.792 0.895 0.199
Mn 0.488 0.637 0.916
Mn 0.995 0.814 0.748
Mn 0.532 0.657 0.580
Mn 0.494 0.374 0.754
Mn 0.963 0.166 0.581
Mn 0.945 0.838 0.085
Mn 0.957 0.165 0.917
Mn 0.520 0.656 0.249
Mn 0.996 0.864 0.421
Mn 0.024 0.155 0.255
Mn 0.527 0.334 0.411
Mn 0.520 0.340 0.079
CELL_PARAMETERS angstrom
-1.608 0.998 -4.346
3.835 -3.608 -2.265
-10.286 -11.659 1.103
! magnetic moment	1.389	μB per atom

***

What should be chosen as the most stable of them? Choose entry w.

***

Entry w
! MgV4O7F5 | the Materials Project database | GGA+U | relaxed; values from VASP
&SYSTEM
  ibrav = 0, nat = 17, ntyp = 4
/
ATOMIC_SPECIES
O 16.00 O.upf
F 19.00 F.upf
V 50.94 V.upf
Mg 24.30 Mg.upf
ATOMIC_POSITIONS crystal
O 0.062 0.744 0.036
O 0.566 0.242 0.505
O 0.723 0.951 0.241
O 0.379 0.764 0.501
O 0.196 0.461 0.711
O 0.907 0.250 0.998
O 0.316 0.042 0.814
F 0.793 0.555 0.333
F 0.833 0.926 0.677
F 0.690 0.555 0.796
F 0.287 0.452 0.219
F 0.202 0.044 0.305
V 0.986 0.488 0.994
V 0.530 0.001 0.473
V 0.053 0.005 0.969
V 0.451 0.496 0.532
Mg 0.014 0.782 0.396
CELL_PARAMETERS angstrom
-5.264 -0.046 0.027
0.076 5.886 -4.075
-0.005 -3.444 -4.457
! magnetic moment	0.176	μB per atom

***

Entry x
! MgV4O7F5 | the Materials Project database | GGA+U | relaxed; values from VASP
&SYSTEM
  ibrav = 0, nat = 17, ntyp = 4
/
ATOMIC_SPECIES
V 50.94 V.upf
O 16.00 O.upf
F 19.00 F.upf
Mg 24.30 Mg.upf
ATOMIC_POSITIONS crystal
V 0.446 0.499 0.494
V 0.031 0.998 0.978
V 0.534 0.000 0.474
V 0.018 0.527 0.992
O 0.184 0.433 0.693
O 0.709 0.955 0.213
O 0.280 0.439 0.224
O 0.106 0.746 0.008
O 0.275 0.043 0.789
O 0.426 0.730 0.506
O 0.616 0.254 0.513
F 0.901 0.253 0.037
F 0.189 0.066 0.312
F 0.705 0.541 0.809
F 0.806 0.533 0.310
F 0.794 0.943 0.713
Mg 0.979 0.300 0.423
CELL_PARAMETERS angstrom
-5.214 0.001 -0.064
-0.054 6.063 -4.189
-0.053 -3.349 -4.310
! magnetic moment	0.176	μB per atom

***

What should be chosen as the most stable of them? Choose entry x.

***

Entry w
! Li4V3O8 | the Materials Project database | GGA+U | relaxed; values from VASP
&SYSTEM
  ibrav = 0, nat = 15, ntyp = 3
/
ATOMIC_SPECIES
V 50.94 V.upf
O 16.00 O.upf
Li 6.94 Li.upf
ATOMIC_POSITIONS crystal
V 0.000 0.000 0.500
V 0.500 0.000 0.000
V 0.000 0.500 0.000
O 0.742 0.742 0.220
O 0.764 0.764 0.764
O 0.258 0.780 0.258
O 0.780 0.258 0.258
O 0.220 0.742 0.742
O 0.258 0.258 0.780
O 0.236 0.236 0.236
O 0.742 0.220 0.742
Li 0.500 0.500 0.500
Li 0.359 0.359 0.359
Li 0.000 0.000 0.000
Li 0.641 0.641 0.641
CELL_PARAMETERS angstrom
5.403 -2.924 0.000
5.403 2.924 0.000
3.821 0.000 4.811
! magnetic moment	0.200	μB per atom

***

Entry x
! Li4V3O8 | the Materials Project database | GGA+U | relaxed; values from VASP
&SYSTEM
  ibrav = 0, nat = 30, ntyp = 3
/
ATOMIC_SPECIES
O 16.00 O.upf
V 50.94 V.upf
Li 6.94 Li.upf
ATOMIC_POSITIONS crystal
O 0.103 0.621 0.293
O 0.138 0.618 0.709
O 0.405 0.372 0.713
O 0.847 0.382 0.296
O 0.380 0.872 0.716
O 0.104 0.121 0.294
O 0.917 0.872 0.695
O 0.652 0.118 0.709
O 0.359 0.882 0.293
O 0.363 0.392 0.293
O 0.888 0.372 0.695
O 0.632 0.610 0.705
O 0.580 0.635 0.291
O 0.163 0.110 0.706
O 0.843 0.891 0.294
O 0.630 0.134 0.291
V 0.745 0.248 0.500
V 0.998 0.501 0.494
V 0.499 0.998 0.508
V 0.256 0.749 0.500
V 0.491 0.499 0.508
V 0.007 0.001 0.494
Li 0.958 0.681 0.074
Li 0.469 0.180 0.075
Li 0.745 0.751 0.501
Li 0.255 0.251 0.501
Li 0.496 0.498 0.998
Li 0.042 0.321 0.929
Li 0.529 0.821 0.928
Li 0.006 0.998 0.998
CELL_PARAMETERS angstrom
1.561 -5.641 0.006
1.546 0.437 -10.004
5.414 -1.546 2.494
! magnetic moment	0.000	μB per atom

***

What should be chosen as the most stable of them? Choose entry x.

***

Entry w
! MgCo5NiO12 | the Materials Project database | GGA+U | relaxed; values from VASP
&SYSTEM
  ibrav = 0, nat = 19, ntyp = 4
/
ATOMIC_SPECIES
Mg 24.30 Mg.upf
O 16.00 O.upf
Co 58.93 Co.upf
Ni 58.69 Ni.upf
ATOMIC_POSITIONS crystal
Mg 0.159 0.503 0.751
O 0.483 0.348 0.599
O 0.166 0.327 0.405
O 0.674 0.334 0.095
O 0.832 0.005 0.405
O 0.846 0.663 0.599
O 0.329 0.660 0.902
O 0.991 0.678 0.095
O 0.007 0.333 0.902
O 0.508 0.663 0.405
O 0.161 0.002 0.596
O 0.333 0.993 0.095
O 0.673 0.992 0.904
Co 0.667 0.666 0.003
Co 0.167 0.670 0.489
Co 0.499 0.001 0.500
Co 0.337 0.329 0.007
Co 0.834 0.333 0.499
Ni 0.001 0.999 0.999
CELL_PARAMETERS angstrom
2.434 4.234 0.011
-2.447 4.229 -0.025
0.072 -0.016 10.112
! magnetic moment	0.053	μB per atom

***

Entry x
! MgCo5NiO12 | the Materials Project database | GGA+U | relaxed; values from VASP
&SYSTEM
  ibrav = 0, nat = 19, ntyp = 4
/
ATOMIC_SPECIES
Ni 58.69 Ni.upf
Co 58.93 Co.upf
O 16.00 O.upf
Mg 24.30 Mg.upf
ATOMIC_POSITIONS crystal
Ni 0.010 0.000 0.005
Co 0.489 0.000 0.485
Co 0.347 0.331 0.005
Co 0.818 0.334 0.502
Co 0.678 0.669 0.005
Co 0.152 0.666 0.502
O 0.510 0.658 0.404
O 0.775 0.684 0.600
O 0.858 0.000 0.406
O 0.346 0.000 0.104
O 0.678 0.000 0.893
O 0.376 0.676 0.901
O 0.168 0.342 0.405
O 0.458 0.317 0.600
O 0.982 0.664 0.097
O 0.646 0.336 0.098
O 0.051 0.323 0.902
O 0.140 0.000 0.600
Mg 0.405 0.000 0.751
CELL_PARAMETERS angstrom
-4.203 -2.256 -1.306
-0.121 -2.954 -3.892
1.142 -8.277 5.372
! magnetic moment	0.158	μB per atom

***

What should be chosen as the most stable of them? Choose entry x.

***

Entry w
! PbWO4 | the Materials Project database | GGA+U | relaxed; values from VASP
&SYSTEM
  ibrav = 0, nat = 12, ntyp = 3
/
ATOMIC_SPECIES
O 16.00 O.upf
Pb 207.20 Pb.upf
W 183.84 W.upf
ATOMIC_POSITIONS crystal
O 0.565 0.191 0.421
O 0.235 0.069 0.920
O 0.850 0.726 0.414
O 0.765 0.931 0.080
O 0.150 0.274 0.586
O 0.695 0.350 0.915
O 0.305 0.650 0.085
O 0.435 0.809 0.579
Pb 0.873 0.619 0.750
Pb 0.127 0.381 0.250
W 0.379 0.124 0.749
W 0.621 0.876 0.251
CELL_PARAMETERS angstrom
-5.579 0.000 0.000
-0.001 -5.616 0.000
2.770 2.802 6.050
! magnetic moment	0.000	μB per atom

***

Entry x
! PbWO4 | the Materials Project database | GGA+U | relaxed; values from VASP
&SYSTEM
  ibrav = 0, nat = 24, ntyp = 3
/
ATOMIC_SPECIES
O 16.00 O.upf
W 183.84 W.upf
Pb 207.20 Pb.upf
ATOMIC_POSITIONS crystal
O 0.881 0.619 0.250
O 0.142 0.142 0.000
O 0.911 0.089 0.453
O 0.642 0.642 0.500
O 0.381 0.119 0.250
O 0.089 0.911 0.547
O 0.619 0.881 0.750
O 0.194 0.806 0.032
O 0.306 0.694 0.532
O 0.806 0.194 0.968
O 0.358 0.358 0.500
O 0.694 0.306 0.468
O 0.589 0.411 0.953
O 0.411 0.589 0.047
O 0.858 0.858 0.000
O 0.119 0.381 0.750
W 0.586 0.414 0.291
W 0.086 0.914 0.209
W 0.914 0.086 0.791
W 0.414 0.586 0.709
Pb 0.912 0.588 0.750
Pb 0.088 0.412 0.250
Pb 0.588 0.912 0.250
Pb 0.412 0.088 0.750
CELL_PARAMETERS angstrom
4.023 -7.117 0.000
4.023 7.117 0.000
0.000 0.000 5.543
! magnetic moment	0.000	μB per atom

***

What should be chosen as the most stable of them? Choose entry w.